(1)
The following is a PBE+U calculation of Li3Mn2Si2O8 after structural relaxation, from the Materials Project.

Lattice parameters (Å, degrees): 5.0942 6.6895 10.6104 89.18 90.00 90.00
Sites, in units of the cell vectors:
Li  0.4325  0.8845  0.1567
Li  0.9314  0.3797  0.3416
Li  0.5368  0.6293  0.4213
Li  0.5675  0.8845  0.6567
Li  0.0686  0.3797  0.8416
Li  0.4632  0.6293  0.9213
Mn  0.4273  0.3705  0.1598
Mn  0.9441  0.8888  0.3386
Mn  0.5727  0.3705  0.6598
Mn  0.0559  0.8888  0.8386
Si  0.9370  0.6322  0.0907
Si  0.4295  0.1348  0.4120
Si  0.0630  0.6322  0.5907
Si  0.5705  0.1348  0.9120
O  0.4992  0.1282  0.0606
O  0.6122  0.6296  0.0914
O  0.0499  0.8305  0.1641
O  0.0440  0.4341  0.1663
O  0.5420  0.9271  0.3449
O  0.5456  0.3427  0.3451
O  0.1088  0.1371  0.3891
O  0.9498  0.6346  0.4428
O  0.5008  0.1282  0.5606
O  0.3878  0.6296  0.5914
O  0.9501  0.8305  0.6641
O  0.9560  0.4341  0.6663
O  0.4580  0.9271  0.8449
O  0.4544  0.3427  0.8451
O  0.8912  0.1371  0.8891
O  0.0502  0.6346  0.9428

Total moment (μB/f.u.): 9.00
Distance to the lowest polymorph of the same formula (eV per atom): 0.009
DFT formation energy (eV per atom): -2.59

---

(2)
The following is a PBE+U calculation of Li2Mn3F8 after structural relaxation, from the Materials Project.

Lattice parameters (Å, degrees): 9.3937 9.3937 9.3937 107.39 107.39 113.72
Sites, in units of the cell vectors:
Li  0.3391  0.4395  0.2875
Li  0.0979  0.6984  0.7875
Li  0.9484  0.6609  0.1005
Li  0.6895  0.9021  0.6005
Li  0.5605  0.8479  0.8995
Li  0.3016  0.0891  0.3995
Li  0.9109  0.3105  0.2125
Li  0.1521  0.0516  0.7125
Mn  0.7824  0.6112  0.4369
Mn  0.2500  0.7500  0.5000
Mn  0.7500  0.2500  0.5000
Mn  0.6544  0.2176  0.8288
Mn  0.8612  0.9243  0.3288
Mn  0.1743  0.3456  0.5631
Mn  0.0757  0.4044  0.9369
Mn  0.5956  0.5324  0.6712
Mn  0.3888  0.8257  0.1712
Mn  0.0000  0.0000  0.0000
Mn  0.5000  0.5000  0.0000
Mn  0.4676  0.1388  0.0631
F  0.8128  0.6626  0.2417
F  0.2437  0.8360  0.3268
F  0.7409  0.8331  0.8268
F  0.7611  0.3603  0.3302
F  0.8211  0.5628  0.6502
F  0.0831  0.7563  0.5923
F  0.1640  0.4909  0.4077
F  0.6809  0.5111  0.9008
F  0.6397  0.9698  0.4008
F  0.9126  0.1709  0.3498
F  0.0302  0.4309  0.6698
F  0.1018  0.6590  0.9834
F  0.5743  0.6315  0.4834
F  0.8291  0.1789  0.7417
F  0.3410  0.3243  0.4428
F  0.3685  0.8518  0.9428
F  0.8815  0.8982  0.5572
F  0.9090  0.4257  0.0572
F  0.4209  0.5711  0.7583
F  0.1482  0.0910  0.5166
F  0.6757  0.1185  0.0166
F  0.2198  0.3191  0.8302
F  0.3374  0.5791  0.1502
F  0.6103  0.7802  0.0992
F  0.5691  0.2389  0.5992
F  0.0860  0.2591  0.0923
F  0.1669  0.9937  0.9077
F  0.4289  0.1872  0.8498
F  0.4889  0.3897  0.1698
F  0.0063  0.9140  0.1732
F  0.5091  0.9169  0.6732
F  0.4372  0.0874  0.2583

Total moment (μB/f.u.): 10.00
Distance to the lowest polymorph of the same formula (eV per atom): 0.030
DFT formation energy (eV per atom): -2.97

---

(3)
The following is a PBE+U calculation of Li6CoNi5O12 after structural relaxation, from the Materials Project.

Lattice parameters (Å, degrees): 4.8921 5.0421 9.8771 95.76 90.65 117.78
Sites, in units of the cell vectors:
Li  0.1468  0.5055  0.2483
Li  0.5212  0.8350  0.7511
Li  0.1819  0.1539  0.7477
Li  0.8181  0.8461  0.2523
Li  0.4788  0.1650  0.2489
Li  0.8532  0.4945  0.7517
Co  0.0000  0.0000  0.0000
Ni  0.3378  0.6719  0.0000
Ni  0.1668  0.3337  0.4997
Ni  0.5000  0.0000  0.5000
Ni  0.6622  0.3281  0.0000
Ni  0.8332  0.6663  0.5003
O  0.1751  0.0017  0.3906
O  0.1578  0.6628  0.6099
O  0.9798  0.3025  0.8983
O  0.3144  0.9845  0.8872
O  0.6856  0.0155  0.1128
O  0.3441  0.3374  0.1067
O  0.5081  0.6696  0.3900
O  0.4919  0.3304  0.6100
O  0.6559  0.6626  0.8933
O  0.8249  0.9983  0.6094
O  0.0202  0.6975  0.1017
O  0.8422  0.3372  0.3901

Total moment (μB/f.u.): 5.00
DFT formation energy (eV per atom): -1.51

---

(4)
The following is a PBE+U calculation of CaMnF5 after structural relaxation, from the Materials Project.

Lattice parameters (Å, degrees): 10.0668 5.5396 8.0497 68.99 90.00 90.00
Sites, in units of the cell vectors:
Ca  0.0207  0.5308  0.7443
Ca  0.5207  0.4692  0.7557
Ca  0.9793  0.4692  0.2557
Ca  0.4793  0.5308  0.2443
Mn  0.7532  0.1138  0.5980
Mn  0.2532  0.8862  0.9020
Mn  0.2468  0.8862  0.4020
Mn  0.7468  0.1138  0.0980
F  0.8819  0.3896  0.5586
F  0.3819  0.6104  0.9414
F  0.1181  0.6104  0.4414
F  0.6181  0.3896  0.0586
F  0.6117  0.3569  0.5034
F  0.1117  0.6431  0.9966
F  0.3883  0.6431  0.4966
F  0.8883  0.3569  0.0034
F  0.3911  0.1201  0.8092
F  0.8911  0.8799  0.6908
F  0.6089  0.8799  0.1908
F  0.1089  0.1201  0.3092
F  0.1359  0.1635  0.8620
F  0.6359  0.8365  0.6380
F  0.8641  0.8365  0.1380
F  0.3641  0.1635  0.3620
F  0.6930  0.1723  0.8328
F  0.1930  0.8277  0.6672
F  0.3070  0.8277  0.1672
F  0.8070  0.1723  0.3328

Distance to the lowest polymorph of the same formula (eV per atom): 0.004
DFT formation energy (eV per atom): -3.41

---

(5)
The following is a PBE+U calculation of Sr4MgMn4O10 after structural relaxation, from the Materials Project.

Lattice parameters (Å, degrees): 5.8148 5.9575 8.9621 105.23 110.23 94.89
Sites, in units of the cell vectors:
Sr  0.6015  0.1583  0.2058
Sr  0.3584  0.8927  0.7748
Sr  0.1936  0.5503  0.1830
Sr  0.8937  0.4060  0.7617
Mg  0.9121  0.8209  0.3323
Mn  0.0048  0.0017  0.0037
Mn  0.5224  0.4969  0.9693
Mn  0.2378  0.2276  0.4921
Mn  0.6511  0.8312  0.5302
O  0.2450  0.2311  0.9614
O  0.3015  0.7254  0.9908
O  0.7418  0.2635  0.9779
O  0.8235  0.7770  0.0839
O  0.1795  0.1727  0.2480
O  0.8554  0.8319  0.7622
O  0.6560  0.5841  0.3234
O  0.4223  0.4465  0.7181
O  0.8574  0.1087  0.4818
O  0.2748  0.8543  0.4710

Total moment (μB/f.u.): 18.00
Distance to the lowest polymorph of the same formula (eV per atom): 0.026
DFT formation energy (eV per atom): -2.48

---

(6)
The following is a PBE+U calculation of CaMg6CoO8 after structural relaxation, from the Materials Project.

Lattice parameters (Å, degrees): 8.6948 4.3460 4.3460 90.00 90.00 90.00
Sites, in units of the cell vectors:
Ca  0.0000  0.0000  0.0000
Mg  0.5000  0.0000  0.0000
Mg  0.5000  0.5000  0.5000
Mg  0.2559  0.0000  0.5000
Mg  0.7441  0.0000  0.5000
Mg  0.2559  0.5000  0.0000
Mg  0.7441  0.5000  0.0000
Co  0.0000  0.5000  0.5000
O  0.2641  0.0000  0.0000
O  0.7359  0.0000  0.0000
O  0.2536  0.5000  0.5000
O  0.7464  0.5000  0.5000
O  0.0000  0.0000  0.5000
O  0.5000  0.0000  0.5000
O  0.0000  0.5000  0.0000
O  0.5000  0.5000  0.0000

Total moment (μB/f.u.): 3.00
Distance to the lowest polymorph of the same formula (eV per atom): 0.004
DFT formation energy (eV per atom): -2.74

---

(7)
The following is a PBE+U calculation of Li9Mn2Co5O16 after structural relaxation, from the Materials Project.

Lattice parameters (Å, degrees): 6.4549 6.4539 7.8532 87.73 113.94 108.26
Sites, in units of the cell vectors:
Li  0.8776  0.0626  0.3163
Li  0.8763  0.5610  0.8107
Li  0.1304  0.9387  0.6844
Li  0.1325  0.4432  0.1948
Li  0.3769  0.8150  0.0702
Li  0.3729  0.3082  0.5589
Li  0.6120  0.6881  0.4328
Li  0.6224  0.1855  0.9366
Li  0.2538  0.8724  0.3758
Mn  0.0042  0.0041  0.0028
Mn  0.7546  0.6263  0.1325
Co  0.0013  0.4977  0.4988
Co  0.2486  0.3774  0.8755
Co  0.4939  0.7508  0.7420
Co  0.4996  0.2451  0.2516
Co  0.7455  0.1237  0.6193
O  0.7105  0.9011  0.0404
O  0.7054  0.3988  0.5344
O  0.9233  0.7516  0.3879
O  0.9543  0.2741  0.9080
O  0.2069  0.6493  0.7863
O  0.1855  0.1463  0.2531
O  0.4537  0.5199  0.1587
O  0.4604  0.0273  0.6651
O  0.0486  0.2281  0.5953
O  0.0380  0.7243  0.0825
O  0.2890  0.0988  0.9579
O  0.3003  0.5870  0.4798
O  0.5608  0.9884  0.3397
O  0.5589  0.4908  0.8636
O  0.8069  0.8622  0.7327
O  0.7951  0.3522  0.2115

Total moment (μB/f.u.): 14.00
Distance to the lowest polymorph of the same formula (eV per atom): 0.028
DFT formation energy (eV per atom): -1.84

---

(8)
The following is a PBE+U calculation of Mg7FeSi4O16 after structural relaxation, from the Materials Project.

Lattice parameters (Å, degrees): 4.8218 6.0620 10.3538 89.70 89.92 89.78
Sites, in units of the cell vectors:
Mg  0.0000  0.0000  0.0000
Mg  0.9887  0.2451  0.7239
Mg  0.0113  0.7549  0.2761
Mg  0.0000  0.5000  0.0000
Mg  0.5000  0.0000  0.5000
Mg  0.5096  0.2511  0.2218
Mg  0.4904  0.7489  0.7782
Fe  0.5000  0.5000  0.5000
Si  0.9263  0.7512  0.5945
Si  0.4252  0.2491  0.9065
Si  0.5748  0.7509  0.0935
Si  0.0737  0.2488  0.4055
O  0.7646  0.2488  0.9082
O  0.2133  0.2451  0.5535
O  0.2762  0.0328  0.8381
O  0.2354  0.7512  0.0918
O  0.7867  0.7549  0.4465
O  0.7238  0.9672  0.1619
O  0.7229  0.5338  0.1627
O  0.2771  0.4662  0.8373
O  0.7346  0.2465  0.4060
O  0.2774  0.2492  0.0531
O  0.2291  0.0344  0.3371
O  0.2654  0.7535  0.5940
O  0.7226  0.7508  0.9469
O  0.7709  0.9656  0.6629
O  0.7860  0.5335  0.6658
O  0.2140  0.4665  0.3342

Total moment (μB/f.u.): 4.00
DFT formation energy (eV per atom): -3.11